A plane-wave DFT calculation with GGA+U was carried out for a geometry-optimized Li5Mn2CoO8 structure.

```
16
Lattice="5.112 -2.862 0.000 5.112 2.862 0.000 -1.859 0.000 4.771" Properties=species:S:1:pos:R:3 pbc="T T T"
Li 0.000 0.000 0.000
Li 4.182 1.471 2.385
Li 1.591 0.000 2.398
Li 6.773 0.000 2.373
Li 4.182 -1.471 2.385
Mn 2.556 1.431 0.000
Mn 2.556 -1.431 0.000
Co 5.112 0.000 0.000
O -0.037 0.000 3.671
O 2.352 1.345 3.759
O 3.210 0.000 1.142
O 6.013 1.345 1.012
O 2.352 -1.345 3.759
O 5.155 0.000 3.629
O 6.013 -1.345 1.012
O 8.402 0.000 1.100
```

Computed properties:
M_tot, μB per formula unit: 8.001
Energy relative to the lowest polymorph listed for this composition, eV per atom: 0.0080
Energy relative to the elements, eV per atom: -2.03
SG: C2/m
Volume, Å³/cell: 139.6

---

A plane-wave DFT calculation with GGA+U was carried out for a geometry-optimized Li3MnCoO5 structure.

```
20
Lattice="2.915 0.000 0.000 -0.134 5.934 0.000 -1.342 -1.353 10.297" Properties=species:S:1:pos:R:3 pbc="T T T"
Li 0.000 0.000 0.000
Li -0.003 2.864 0.040
Li 0.070 -0.015 4.014
Li 0.039 3.068 8.360
Li 1.473 1.379 1.854
Li 1.435 4.486 6.143
Mn -0.013 2.958 4.063
Mn 0.136 0.020 8.263
Co 1.375 4.505 1.798
Co 1.545 1.496 6.149
O 0.036 -0.104 2.073
O -0.024 2.955 2.194
O -0.064 2.903 6.055
O 0.226 0.119 6.203
O 0.118 0.093 10.071
O 1.392 4.354 0.031
O 1.467 1.620 4.189
O 1.432 4.242 4.082
O 1.466 4.674 8.175
O 1.594 1.376 8.089
```

Computed properties:
M_tot, μB per formula unit: 5.000
Energy relative to the lowest polymorph listed for this composition, eV per atom: 0.0390
Energy relative to the elements, eV per atom: -1.92
SG: P1
Volume, Å³/cell: 178.1

---

Please write out number 1 again, unchanged.
A plane-wave DFT calculation with GGA+U was carried out for a geometry-optimized Li5Mn2CoO8 structure.

```
16
Lattice="5.112 -2.862 0.000 5.112 2.862 0.000 -1.859 0.000 4.771" Properties=species:S:1:pos:R:3 pbc="T T T"
Li 0.000 0.000 0.000
Li 4.182 1.471 2.385
Li 1.591 0.000 2.398
Li 6.773 0.000 2.373
Li 4.182 -1.471 2.385
Mn 2.556 1.431 0.000
Mn 2.556 -1.431 0.000
Co 5.112 0.000 0.000
O -0.037 0.000 3.671
O 2.352 1.345 3.759
O 3.210 0.000 1.142
O 6.013 1.345 1.012
O 2.352 -1.345 3.759
O 5.155 0.000 3.629
O 6.013 -1.345 1.012
O 8.402 0.000 1.100
```

Computed properties:
M_tot, μB per formula unit: 8.001
Energy relative to the lowest polymorph listed for this composition, eV per atom: 0.0080
Energy relative to the elements, eV per atom: -2.03
SG: C2/m
Volume, Å³/cell: 139.6